A relaxed Ca8Mn7CrO24 crystal. Source: the Materials Project, functional GGA+U.

Unit cell a=10.6704 b=15.1386 c=10.8149 alpha=90.00 beta=90.02 gamma=90.00
With the nearest neighbours (Å) after each atom.
Sites, in units of the cell vectors:
Ca: 0.0000 0.0000 0.0000  6 O 2.33-2.57
Ca: 0.0003 0.0000 0.4984  6 O 2.33-2.57
Ca: 0.0004 0.5000 0.9993  6 O 2.32-2.57
Ca: 0.0007 0.5000 0.4995  6 O 2.32-2.58
Ca: 0.0089 0.2503 0.4546  6 O 2.32-2.58
Ca: 0.0090 0.2502 0.9553  6 O 2.32-2.57
Ca: 0.0089 0.7497 0.4546  6 O 2.32-2.58
Ca: 0.0090 0.7498 0.9553  6 O 2.32-2.57
Ca: 0.2505 0.2500 0.2044  6 O 2.32-2.57
Ca: 0.2505 0.7500 0.2044  6 O 2.32-2.57
Ca: 0.2508 0.2504 0.7053  6 O 2.32-2.58
Ca: 0.2508 0.7496 0.7053  6 O 2.32-2.58
Ca: 0.2594 0.0000 0.2485  6 O 2.32-2.57
Ca: 0.2591 0.5000 0.2496  6 O 2.32-2.57
Ca: 0.2590 0.5000 0.7492  6 O 2.32-2.58
Ca: 0.2597 0.0000 0.7497  6 O 2.34-2.57
Ca: 0.5003 0.5000 0.4994  6 O 2.32-2.57
Ca: 0.5005 0.5000 0.9994  6 O 2.32-2.57
Ca: 0.5007 0.0000 0.9996  6 O 2.32-2.58
Ca: 0.5008 0.0000 0.4990  6 O 2.32-2.59
Ca: 0.5094 0.2502 0.4548  6 O 2.33-2.57
Ca: 0.5094 0.2499 0.9549  6 O 2.32-2.58
Ca: 0.5094 0.7498 0.4548  6 O 2.33-2.57
Ca: 0.5094 0.7501 0.9549  6 O 2.32-2.58
Ca: 0.7503 0.2498 0.2047  6 O 2.33-2.57
Ca: 0.7501 0.2502 0.7051  6 O 2.33-2.58
Ca: 0.7503 0.7502 0.2047  6 O 2.33-2.57
Ca: 0.7501 0.7498 0.7051  6 O 2.33-2.58
Ca: 0.7591 0.0000 0.2491  6 O 2.32-2.58
Ca: 0.7586 0.0000 0.7495  6 O 2.32-2.58
Ca: 0.7592 0.5000 0.2494  6 O 2.32-2.57
Ca: 0.7593 0.5000 0.7495  6 O 2.32-2.57
Mn: 0.0049 0.1251 0.2268  6 O 1.94-1.95
Mn: 0.0048 0.3750 0.2271  6 O 1.94-1.96
Mn: 0.0046 0.3751 0.7272  6 O 1.94-1.95
Mn: 0.0048 0.6250 0.2271  6 O 1.94-1.96
Mn: 0.0046 0.6249 0.7272  6 O 1.94-1.95
Mn: 0.0049 0.8749 0.2268  6 O 1.94-1.95
Mn: 0.2551 0.1250 0.9769  6 O 1.94-1.96
Mn: 0.2549 0.3752 0.4772  6 O 1.94-1.96
Mn: 0.2549 0.3750 0.9772  6 O 1.94-1.95
Mn: 0.2549 0.6248 0.4772  6 O 1.94-1.96
Mn: 0.2549 0.6250 0.9772  6 O 1.94-1.95
Mn: 0.2551 0.8750 0.9769  6 O 1.94-1.96
Mn: 0.5045 0.1248 0.7272  6 O 1.94-1.96
Mn: 0.5045 0.8752 0.7272  6 O 1.94-1.96
Mn: 0.5050 0.1249 0.2272  6 O 1.94-1.96
Mn: 0.5049 0.3750 0.2271  6 O 1.94-1.95
Mn: 0.5047 0.3750 0.7272  6 O 1.94-1.95
Mn: 0.5049 0.6250 0.2271  6 O 1.94-1.95
Mn: 0.5047 0.6250 0.7272  6 O 1.94-1.95
Mn: 0.5050 0.8751 0.2272  6 O 1.94-1.96
Mn: 0.7545 0.1249 0.4772  6 O 1.94-1.96
Mn: 0.7545 0.8751 0.4772  6 O 1.94-1.96
Mn: 0.7550 0.1248 0.9772  6 O 1.94-1.96
Mn: 0.7548 0.3750 0.4771  6 O 1.94-1.95
Mn: 0.7548 0.3749 0.9771  6 O 1.94-1.95
Mn: 0.7548 0.6250 0.4771  6 O 1.94-1.95
Mn: 0.7548 0.6251 0.9771  6 O 1.94-1.95
Mn: 0.7550 0.8752 0.9772  6 O 1.94-1.96
Cr: 0.0047 0.1253 0.7268  6 O 1.93-1.95
Cr: 0.0047 0.8747 0.7268  6 O 1.93-1.95
Cr: 0.2542 0.1254 0.4764  6 O 1.93-1.96
Cr: 0.2542 0.8746 0.4764  6 O 1.93-1.96
O: 0.0423 0.0000 0.7174  2 Cr 1.94
O: 0.0443 0.0000 0.2179  2 Mn 1.94
O: 0.0439 0.5000 0.2175  2 Mn 1.94
O: 0.0439 0.5000 0.7176  2 Mn 1.94
O: 0.1078 0.1453 0.0807  2 Mn 1.95-1.96
O: 0.1078 0.3545 0.5810  2 Mn 1.95-1.96
O: 0.1078 0.3548 0.0810  2 Mn 1.95
O: 0.1078 0.6452 0.0810  2 Mn 1.95
O: 0.1078 0.6455 0.5810  2 Mn 1.95-1.96
O: 0.1078 0.8547 0.0807  2 Mn 1.95-1.96
O: 0.1088 0.1446 0.5812  2 Cr 1.94-1.95
O: 0.1088 0.8554 0.5812  2 Cr 1.94-1.95
O: 0.1512 0.1453 0.8313  1 Mn 1.95, 1 Cr 1.95
O: 0.1512 0.8547 0.8313  1 Mn 1.95, 1 Cr 1.95
O: 0.1516 0.1447 0.3305  1 Cr 1.94, 1 Mn 1.95
O: 0.1519 0.3546 0.3311  2 Mn 1.95-1.96
O: 0.1517 0.3546 0.8309  2 Mn 1.95
O: 0.1519 0.6454 0.3311  2 Mn 1.95-1.96
O: 0.1517 0.6454 0.8309  2 Mn 1.95
O: 0.1516 0.8553 0.3305  1 Cr 1.94, 1 Mn 1.95
O: 0.2156 0.0000 0.9673  2 Mn 1.94
O: 0.2157 0.5000 0.4676  2 Mn 1.94
O: 0.2157 0.5000 0.9675  2 Mn 1.94
O: 0.2169 0.0000 0.4681  2 Cr 1.94
O: 0.2935 0.2499 0.4868  1 Cr 1.93, 1 Mn 1.94
O: 0.2935 0.7501 0.4868  1 Cr 1.93, 1 Mn 1.94
O: 0.2939 0.2501 0.9867  2 Mn 1.94
O: 0.2939 0.7499 0.9867  2 Mn 1.94
O: 0.3576 0.1047 0.1234  2 Mn 1.95-1.96
O: 0.3577 0.1053 0.6236  1 Mn 1.95, 1 Cr 1.96
O: 0.3577 0.3952 0.1232  2 Mn 1.95
O: 0.3579 0.3952 0.6234  2 Mn 1.95
O: 0.3577 0.6048 0.1232  2 Mn 1.95
O: 0.3579 0.6048 0.6234  2 Mn 1.95
O: 0.3576 0.8953 0.1234  2 Mn 1.95-1.96
O: 0.3577 0.8947 0.6236  1 Mn 1.95, 1 Cr 1.96
O: 0.4011 0.1046 0.3725  1 Mn 1.95, 1 Cr 1.95
O: 0.4011 0.8954 0.3725  1 Mn 1.95, 1 Cr 1.95
O: 0.4018 0.1047 0.8733  2 Mn 1.95
O: 0.4018 0.3951 0.3732  2 Mn 1.95
O: 0.4018 0.3952 0.8732  2 Mn 1.95
O: 0.4018 0.6049 0.3732  2 Mn 1.95
O: 0.4018 0.6048 0.8732  2 Mn 1.95
O: 0.4018 0.8953 0.8733  2 Mn 1.95
O: 0.4656 0.2500 0.2368  2 Mn 1.94
O: 0.4655 0.2499 0.7365  2 Mn 1.94
O: 0.4656 0.7500 0.2368  2 Mn 1.94
O: 0.4655 0.7501 0.7365  2 Mn 1.94
O: 0.5441 0.0000 0.2173  2 Mn 1.94
O: 0.5439 0.0000 0.7174  2 Mn 1.94
O: 0.5439 0.5000 0.2176  2 Mn 1.94
O: 0.5439 0.5000 0.7175  2 Mn 1.94
O: 0.6077 0.1453 0.0810  2 Mn 1.95-1.96
O: 0.6077 0.1452 0.5810  2 Mn 1.95
O: 0.6078 0.3548 0.0810  2 Mn 1.95
O: 0.6078 0.3548 0.5810  2 Mn 1.95
O: 0.6078 0.6452 0.0810  2 Mn 1.95
O: 0.6078 0.6452 0.5810  2 Mn 1.95
O: 0.6077 0.8547 0.0810  2 Mn 1.95-1.96
O: 0.6077 0.8548 0.5810  2 Mn 1.95
O: 0.6519 0.1453 0.3312  2 Mn 1.95
O: 0.6520 0.1452 0.8308  2 Mn 1.95-1.96
O: 0.6518 0.3548 0.3311  2 Mn 1.95
O: 0.6518 0.3548 0.8310  2 Mn 1.95
O: 0.6518 0.6452 0.3311  2 Mn 1.95
O: 0.6518 0.6452 0.8310  2 Mn 1.95
O: 0.6519 0.8547 0.3312  2 Mn 1.95
O: 0.6520 0.8548 0.8308  2 Mn 1.95-1.96
O: 0.7156 0.0000 0.4674  2 Mn 1.94
O: 0.7156 0.0000 0.9673  2 Mn 1.94
O: 0.7157 0.5000 0.4675  2 Mn 1.94
O: 0.7157 0.5000 0.9675  2 Mn 1.94
O: 0.7940 0.2499 0.4868  2 Mn 1.94
O: 0.7941 0.2500 0.9866  2 Mn 1.94
O: 0.7940 0.7501 0.4868  2 Mn 1.94
O: 0.7941 0.7500 0.9866  2 Mn 1.94
O: 0.8579 0.1048 0.1235  2 Mn 1.95
O: 0.8579 0.3952 0.1232  2 Mn 1.95
O: 0.8577 0.3951 0.6231  2 Mn 1.95
O: 0.8579 0.6048 0.1232  2 Mn 1.95
O: 0.8577 0.6049 0.6231  2 Mn 1.95
O: 0.8579 0.8952 0.1235  2 Mn 1.95
O: 0.8587 0.1046 0.6224  1 Mn 1.95, 1 Cr 1.95
O: 0.8587 0.8954 0.6224  1 Mn 1.95, 1 Cr 1.95
O: 0.9021 0.1048 0.3735  2 Mn 1.95-1.96
O: 0.9018 0.1051 0.8736  1 Mn 1.95, 1 Cr 1.95
O: 0.9018 0.3952 0.3732  2 Mn 1.95
O: 0.9018 0.3953 0.8733  2 Mn 1.95
O: 0.9018 0.6048 0.3732  2 Mn 1.95
O: 0.9018 0.6047 0.8733  2 Mn 1.95
O: 0.9021 0.8952 0.3735  2 Mn 1.95-1.96
O: 0.9018 0.8949 0.8736  1 Mn 1.95, 1 Cr 1.95
O: 0.9658 0.2501 0.2368  2 Mn 1.94
O: 0.9661 0.2499 0.7367  1 Cr 1.93, 1 Mn 1.94
O: 0.9658 0.7499 0.2368  2 Mn 1.94
O: 0.9661 0.7501 0.7367  1 Cr 1.93, 1 Mn 1.94

## Properties
E above lowest polymorph in meV/atom: 0
MP2020-corrected energy in eV/atom: -7.718
Spin magnetization in Bohr magnetons per cell: 92.00
Energy of formation in eV per atom: -2.5031


A relaxed Ca8Mn7CrO21 crystal. Source: the Materials Project, functional GGA+U.

Unit cell a=7.6865 b=7.7490 c=7.7791 alpha=90.00 beta=90.09 gamma=90.00
With the nearest neighbours (Å) after each atom.
Sites, in units of the cell vectors:
Ca: 0.0000 0.2327 0.0000  5 O 2.45-2.67
Ca: 0.0000 0.7673 0.0000  5 O 2.45-2.67
Ca: 0.4412 0.2420 0.5307  4 O 2.26-2.52
Ca: 0.4412 0.7580 0.5307  4 O 2.26-2.52
Ca: 0.4562 0.2373 0.0343  9 O 2.48-2.74
Ca: 0.4562 0.7627 0.0343  9 O 2.48-2.74
Ca: 0.9778 0.2540 0.5144  7 O 2.50-2.77
Ca: 0.9778 0.7460 0.5144  7 O 2.50-2.77
Mn: 0.1979 0.5000 0.2619  5 O 1.91-2.05
Mn: 0.2035 0.0000 0.2674  6 O 1.87-2.00
Mn: 0.2036 0.0000 0.7640  5 O 1.90-1.91
Mn: 0.2204 0.5000 0.7589  6 O 1.96-2.05
Mn: 0.6920 0.0000 0.2781  4 O 1.89-2.04
Mn: 0.7029 0.5000 0.7746  5 O 1.87-2.04
Mn: 0.7093 0.0000 0.7700  5 O 1.89-1.94
Cr: 0.7111 0.5000 0.2544  4 O 1.78
O: 0.2028 0.2515 0.2576  2 Mn 1.93-1.95
O: 0.2028 0.7485 0.2576  2 Mn 1.93-1.95
O: 0.2121 0.0000 0.5204  2 Mn 1.90-1.97
O: 0.2146 0.0000 0.0099  2 Mn 1.91-2.00
O: 0.2174 0.5000 0.5071  2 Mn 1.91-1.96
O: 0.2180 0.5000 0.0130  2 Mn 1.94-1.98
O: 0.2287 0.2446 0.7708  2 Mn 1.91-1.98
O: 0.2287 0.7554 0.7708  2 Mn 1.91-1.98
O: 0.4465 0.0000 0.2561  2 Mn 1.87-1.89
O: 0.4691 0.5000 0.7056  2 Mn 1.87-1.96
O: 0.6392 0.2928 0.3229  1 Cr 1.78
O: 0.6392 0.7072 0.3229  1 Cr 1.78
O: 0.6532 0.5000 0.0323  1 Cr 1.78
O: 0.6594 0.0000 0.5318  2 Mn 1.89-1.99
O: 0.6710 0.0000 0.0170  2 Mn 1.94-2.04
O: 0.6833 0.2464 0.7685  2 Mn 1.92-1.97
O: 0.6833 0.7536 0.7685  2 Mn 1.92-1.97
O: 0.9360 0.5000 0.3097  1 Cr 1.78
O: 0.9440 0.0000 0.2655  2 Mn 1.94-1.99
O: 0.9539 0.5000 0.7428  2 Mn 1.95-2.05
O: 0.9549 0.0000 0.7765  2 Mn 1.89-1.91

## Properties
E above lowest polymorph in meV/atom: 37
MP2020-corrected energy in eV/atom: -7.737
Spin magnetization in Bohr magnetons per cell: 25.00
Energy of formation in eV per atom: -2.5008


E above lowest polymorph of number 1 (Ca8Mn7CrO24)?
0 meV/atom


Which value of energy of formation does entry 1 give?
-2.5031 eV per atom


Copy entry 2 word for word.
A relaxed Ca8Mn7CrO21 crystal. Source: the Materials Project, functional GGA+U.

Unit cell a=7.6865 b=7.7490 c=7.7791 alpha=90.00 beta=90.09 gamma=90.00
With the nearest neighbours (Å) after each atom.
Sites, in units of the cell vectors:
Ca: 0.0000 0.2327 0.0000  5 O 2.45-2.67
Ca: 0.0000 0.7673 0.0000  5 O 2.45-2.67
Ca: 0.4412 0.2420 0.5307  4 O 2.26-2.52
Ca: 0.4412 0.7580 0.5307  4 O 2.26-2.52
Ca: 0.4562 0.2373 0.0343  9 O 2.48-2.74
Ca: 0.4562 0.7627 0.0343  9 O 2.48-2.74
Ca: 0.9778 0.2540 0.5144  7 O 2.50-2.77
Ca: 0.9778 0.7460 0.5144  7 O 2.50-2.77
Mn: 0.1979 0.5000 0.2619  5 O 1.91-2.05
Mn: 0.2035 0.0000 0.2674  6 O 1.87-2.00
Mn: 0.2036 0.0000 0.7640  5 O 1.90-1.91
Mn: 0.2204 0.5000 0.7589  6 O 1.96-2.05
Mn: 0.6920 0.0000 0.2781  4 O 1.89-2.04
Mn: 0.7029 0.5000 0.7746  5 O 1.87-2.04
Mn: 0.7093 0.0000 0.7700  5 O 1.89-1.94
Cr: 0.7111 0.5000 0.2544  4 O 1.78
O: 0.2028 0.2515 0.2576  2 Mn 1.93-1.95
O: 0.2028 0.7485 0.2576  2 Mn 1.93-1.95
O: 0.2121 0.0000 0.5204  2 Mn 1.90-1.97
O: 0.2146 0.0000 0.0099  2 Mn 1.91-2.00
O: 0.2174 0.5000 0.5071  2 Mn 1.91-1.96
O: 0.2180 0.5000 0.0130  2 Mn 1.94-1.98
O: 0.2287 0.2446 0.7708  2 Mn 1.91-1.98
O: 0.2287 0.7554 0.7708  2 Mn 1.91-1.98
O: 0.4465 0.0000 0.2561  2 Mn 1.87-1.89
O: 0.4691 0.5000 0.7056  2 Mn 1.87-1.96
O: 0.6392 0.2928 0.3229  1 Cr 1.78
O: 0.6392 0.7072 0.3229  1 Cr 1.78
O: 0.6532 0.5000 0.0323  1 Cr 1.78
O: 0.6594 0.0000 0.5318  2 Mn 1.89-1.99
O: 0.6710 0.0000 0.0170  2 Mn 1.94-2.04
O: 0.6833 0.2464 0.7685  2 Mn 1.92-1.97
O: 0.6833 0.7536 0.7685  2 Mn 1.92-1.97
O: 0.9360 0.5000 0.3097  1 Cr 1.78
O: 0.9440 0.0000 0.2655  2 Mn 1.94-1.99
O: 0.9539 0.5000 0.7428  2 Mn 1.95-2.05
O: 0.9549 0.0000 0.7765  2 Mn 1.89-1.91

## Properties
E above lowest polymorph in meV/atom: 37
MP2020-corrected energy in eV/atom: -7.737
Spin magnetization in Bohr magnetons per cell: 25.00
Energy of formation in eV per atom: -2.5008